First-principles (meta-GGA r2SCAN) data for a relaxed HoIn3 crystal, as listed in the Materials Project.

Geometry as POSCAR:
```
HoIn3
1.0
4.602 0.000 0.000
0.000 4.602 0.000
0.000 0.000 4.602
Ho In
1 3
Direct
0.000 0.000 0.000
0.000 0.500 0.500
0.500 0.000 0.500
0.500 0.500 0.000
```

Calculated values
- Raw total energy: -25.6587 eV per atom
- Space group: Pm-3m
- E_form: -0.5045 eV per atom